Record 1
A relaxed NaZr2Sc2P3S3O24 crystal. Source: the Materials Project database, functional PBE.

Computed properties:
Its crystal system is triclinic. The total moment comes out at 0.0 μB/f.u. Its energy with MP2020 corrections is -7.962 eV per atom.

Unit cell a=8.8901 b=8.8909 c=23.2181 alpha=90.02 beta=90.17 gamma=119.92
Closest atoms and distances in Å follow each position.
Space group P1 (No. 1)
Unique sites:
Na 0.0000 0.0000 0.0000 x1  5 O 2.50-2.74
Na 0.0242 0.0059 0.4947 x1  6 O 2.52-2.80
Na 0.3501 0.6650 0.1575 x1  5 O 2.48-2.77
Zr 0.3442 0.6795 0.8109 x1  6 O 2.00-2.19
Zr 0.3527 0.6821 0.3085 x1  6 O 2.03-2.21
Zr 0.6707 0.3399 0.4736 x1  6 O 2.03-2.18
Zr 0.6789 0.3433 0.1847 x1  6 O 2.05-2.15
Zr 0.6811 0.3488 0.6818 x1  6 O 2.00-2.17
Zr 0.6929 0.3484 0.9742 x1  6 O 2.01-2.24
Sc 0.0028 0.0143 0.1425 x1  5 O 2.00-2.22
Sc 0.0053 0.0033 0.8521 x1  6 O 2.01-2.20
Sc 0.0196 0.0088 0.6404 x1  6 O 2.03-2.18
Sc 0.0229 0.0186 0.3459 x1  5 O 1.97-2.18
Sc 0.3365 0.6750 0.5202 x1  6 O 2.01-2.23
Sc 0.3490 0.6768 0.0167 x1  6 O 2.04-2.16
P 0.0616 0.6825 0.9142 x1  4 O 1.52-1.57
P 0.2983 0.2972 0.2449 x1  4 O 1.53-1.57
P 0.3375 0.9585 0.4150 x1  4 O 1.53-1.56
P 0.3866 0.3420 0.5786 x1  4 O 1.51-1.57
P 0.6357 0.9623 0.9146 x1  4 O 1.52-1.57
P 0.6801 0.6341 0.0793 x1  4 O 1.54-1.56
P 0.7266 0.0088 0.2463 x1  4 O 1.53-1.58
P 0.9665 0.6329 0.5783 x1  4 O 1.52-1.57
P 0.9744 0.3447 0.0799 x1  4 O 1.54-1.56
S 0.0127 0.2936 0.7459 x1  4 O 1.47-1.49
S 0.0146 0.7225 0.2457 x1  4 O 1.46-1.50
S 0.0578 0.3835 0.4143 x1  4 O 1.47-1.49
S 0.3003 0.0099 0.7462 x1  4 O 1.46-1.49
S 0.3421 0.3826 0.9131 x1  4 O 1.46-1.50
S 0.3864 0.0504 0.0792 x1  4 O 1.47-1.49
S 0.6387 0.6821 0.4145 x1  4 O 1.46-1.50
S 0.6817 0.0521 0.5793 x1  4 O 1.46-1.49
S 0.7250 0.7227 0.7459 x1  4 O 1.47-1.50
O 0.0346 0.2075 0.4082 x1  1 S 1.48
O 0.0394 0.2133 0.6944 x1  1 S 1.47
O 0.0411 0.8429 0.9047 x1  1 P 1.54
O 0.0438 0.8278 0.1943 x1  1 S 1.46
O 0.1378 0.4877 0.3620 x1  1 S 1.48
O 0.1438 0.6488 0.5715 x1  1 P 1.52
O 0.1461 0.6545 0.8589 x1  1 P 1.57
O 0.1530 0.5084 0.0738 x1  1 P 1.54
O 0.1666 0.4653 0.4654 x1  1 S 1.47
O 0.1665 0.4685 0.7546 x1  1 S 1.49
O 0.1690 0.6975 0.2528 x1  1 S 1.50
O 0.1743 0.7067 0.9665 x1  1 P 1.52
O 0.1789 0.9823 0.4076 x1  1 P 1.54
O 0.1850 0.2132 0.1919 x1  1 P 1.53
O 0.1879 0.2092 0.9045 x1  1 S 1.48
O 0.1925 0.9808 0.6944 x1  1 S 1.47
O 0.2063 0.1789 0.5865 x1  1 P 1.54
O 0.2132 0.0319 0.0850 x1  1 S 1.47
O 0.2191 0.1896 0.2998 x1  1 P 1.54
O 0.2218 0.0378 0.7974 x1  1 S 1.46
O 0.3135 0.4626 0.9639 x1  1 S 1.46
O 0.3171 0.8464 0.4677 x1  1 P 1.53
O 0.3199 0.4814 0.2544 x1  1 P 1.57
O 0.3203 0.8543 0.7538 x1  1 S 1.49
O 0.3638 0.8727 0.3605 x1  1 P 1.56
O 0.3674 0.4899 0.8605 x1  1 S 1.50
O 0.3722 0.8775 0.0746 x1  1 S 1.48
O 0.3749 0.5041 0.5692 x1  1 P 1.51
O 0.4706 0.1560 0.0274 x1  1 S 1.48
O 0.4749 0.3089 0.5262 x1  1 P 1.56
O 0.4760 0.1616 0.7371 x1  1 S 1.48
O 0.4807 0.3207 0.2359 x1  1 P 1.54
O 0.4935 0.1346 0.1312 x1  1 S 1.49
O 0.4971 0.3648 0.9198 x1  1 S 1.47
O 0.4999 0.3616 0.6329 x1  1 P 1.57
O 0.5039 0.1389 0.4231 x1  1 P 1.56
O 0.5168 0.6519 0.0739 x1  1 P 1.54
O 0.5247 0.8731 0.8591 x1  1 P 1.57
O 0.5279 0.8821 0.5721 x1  1 S 1.46
O 0.5315 0.6534 0.3618 x1  1 S 1.49
O 0.5396 0.8462 0.2537 x1  1 P 1.58
O 0.5492 0.6984 0.7545 x1  1 S 1.48
O 0.5512 0.8457 0.9664 x1  1 P 1.52
O 0.5541 0.7032 0.4653 x1  1 S 1.46
O 0.6481 0.1399 0.9218 x1  1 P 1.54
O 0.6543 0.5229 0.4203 x1  1 S 1.50
O 0.6582 0.1365 0.6314 x1  1 S 1.49
O 0.6578 0.5209 0.1330 x1  1 P 1.55
O 0.6967 0.5388 0.0255 x1  1 P 1.56
O 0.7030 0.1671 0.2364 x1  1 P 1.54
O 0.7051 0.5467 0.7381 x1  1 S 1.50
O 0.7104 0.1634 0.5282 x1  1 S 1.48
O 0.8039 0.8286 0.6945 x1  1 S 1.47
O 0.8038 0.9729 0.1927 x1  1 P 1.53
O 0.8126 0.8337 0.4073 x1  1 S 1.47
O 0.8188 0.9872 0.9050 x1  1 P 1.55
O 0.8325 0.8007 0.7975 x1  1 S 1.47
O 0.8326 0.0300 0.3007 x1  1 P 1.53
O 0.8383 0.0360 0.5866 x1  1 S 1.48
O 0.8462 0.8120 0.0845 x1  1 P 1.54
O 0.8490 0.5407 0.5258 x1  1 P 1.54
O 0.8583 0.3146 0.7370 x1  1 S 1.49
O 0.8599 0.3197 0.0255 x1  1 P 1.56
O 0.8608 0.5473 0.2392 x1  1 S 1.48
O 0.8777 0.5199 0.6329 x1  1 P 1.57
O 0.8805 0.3628 0.1331 x1  1 P 1.55
O 0.8801 0.5196 0.9199 x1  1 P 1.55
O 0.8845 0.3678 0.4219 x1  1 S 1.49
O 0.9816 0.8123 0.5863 x1  1 P 1.54
O 0.9854 0.1871 0.7974 x1  1 S 1.47
O 0.9908 0.1804 0.0836 x1  1 P 1.54
O 0.9915 0.8007 0.2983 x1  1 S 1.47

---

Record 2
A relaxed Na3Zr2Sc2P5SO24 crystal. Source: the Materials Project database, functional PBE.

Computed properties:
Its crystal system is triclinic. The total moment comes out at 0.0 μB/f.u. Its energy with MP2020 corrections is -7.998 eV per atom.

Unit cell a=8.8977 b=8.9178 c=23.2332 alpha=89.99 beta=89.93 gamma=60.08
Closest atoms and distances in Å follow each position.
Space group P1 (No. 1)
Unique sites:
Na 0.0000 0.0000 0.0000 x1  6 O 2.58-2.73
Na 0.9996 0.0010 0.5006 x1  6 O 2.55-2.75
Na 0.0292 0.6631 0.5817 x1  4 O 2.37-2.45
Na 0.3259 0.3373 0.1654 x1  6 O 2.61-2.70
Na 0.3289 0.3295 0.6648 x1  6 O 2.64-2.67
Na 0.6307 0.9990 0.7490 x1  4 O 2.37-2.48
Na 0.6598 0.6703 0.3314 x1  6 O 2.61-2.72
Na 0.6622 0.0303 0.0816 x1  4 O 2.37-2.45
Na 0.6668 0.6556 0.8320 x1  6 O 2.62-2.68
Zr 0.0039 0.9803 0.3511 x1  6 O 2.01-2.23
Zr 0.6570 0.6668 0.1838 x1  6 O 2.04-2.22
Zr 0.6604 0.6689 0.4792 x1  6 O 2.04-2.21
Zr 0.6608 0.6567 0.6835 x1  6 O 2.04-2.16
Zr 0.6680 0.6609 0.9794 x1  6 O 2.04-2.21
Zr 0.9908 0.0023 0.8505 x1  6 O 2.03-2.21
Sc 0.9999 0.9887 0.1462 x1  6 O 2.02-2.16
Sc 0.3194 0.3296 0.8126 x1  6 O 2.00-2.17
Sc 0.3245 0.3263 0.0172 x1  6 O 2.02-2.17
Sc 0.3267 0.3224 0.5170 x1  6 O 2.01-2.17
Sc 0.3293 0.3261 0.3125 x1  6 O 2.03-2.16
Sc 0.9982 0.0009 0.6466 x1  6 O 2.03-2.17
P 0.9998 0.7029 0.7468 x1  4 O 1.53-1.57
P 0.0400 0.3287 0.9151 x1  4 O 1.53-1.56
P 0.0415 0.6139 0.4155 x1  4 O 1.53-1.57
P 0.2861 0.9970 0.7479 x1  4 O 1.52-1.57
P 0.2874 0.6994 0.2472 x1  4 O 1.53-1.56
P 0.3278 0.0416 0.4141 x1  4 O 1.53-1.56
P 0.3671 0.9550 0.0807 x1  4 O 1.52-1.56
P 0.3676 0.6610 0.5808 x1  4 O 1.54-1.55
P 0.6176 0.0397 0.9148 x1  4 O 1.54-1.56
P 0.6611 0.9586 0.5828 x1  4 O 1.52-1.57
P 0.6624 0.3686 0.0816 x1  4 O 1.54-1.55
P 0.7020 0.2868 0.7477 x1  4 O 1.53-1.56
P 0.7022 0.9992 0.2471 x1  4 O 1.53-1.56
P 0.9541 0.3680 0.5806 x1  4 O 1.52-1.56
P 0.9580 0.6598 0.0823 x1  4 O 1.52-1.56
S 0.3289 0.6181 0.9147 x1  4 O 1.47-1.49
S 0.6193 0.3285 0.4146 x1  4 O 1.47-1.49
S 0.9969 0.2853 0.2480 x1  4 O 1.47-1.49
O 0.0165 0.8006 0.4085 x1  1 P 1.57
O 0.0203 0.1655 0.9085 x1  1 P 1.56
O 0.0205 0.1812 0.1963 x1  1 S 1.47
O 0.0215 0.7856 0.6916 x1  1 P 1.54
O 0.1206 0.3577 0.8610 x1  1 P 1.53
O 0.1267 0.5066 0.3616 x1  1 P 1.53
O 0.1307 0.3612 0.5752 x1  1 P 1.55
O 0.1363 0.5008 0.0749 x1  1 P 1.52
O 0.1460 0.5400 0.4712 x1  1 P 1.54
O 0.1487 0.3037 0.9690 x1  1 P 1.53
O 0.1509 0.3053 0.2544 x1  1 S 1.47
O 0.1580 0.5231 0.7550 x1  1 P 1.53
O 0.1640 0.0219 0.4072 x1  1 P 1.56
O 0.1734 0.7940 0.9086 x1  1 S 1.49
O 0.1762 0.0230 0.6946 x1  1 P 1.52
O 0.1759 0.7899 0.1944 x1  1 P 1.53
O 0.1858 0.8214 0.5870 x1  1 P 1.54
O 0.1882 0.9745 0.0881 x1  1 P 1.52
O 0.2022 0.9683 0.8020 x1  1 P 1.55
O 0.2032 0.8158 0.3015 x1  1 P 1.56
O 0.3030 0.1486 0.4686 x1  1 P 1.53
O 0.3034 0.5403 0.9668 x1  1 S 1.47
O 0.3058 0.5210 0.2556 x1  1 P 1.53
O 0.3151 0.1535 0.7544 x1  1 P 1.55
O 0.3463 0.5007 0.5748 x1  1 P 1.54
O 0.3547 0.5146 0.8627 x1  1 S 1.47
O 0.3566 0.1233 0.3605 x1  1 P 1.53
O 0.3613 0.1305 0.0752 x1  1 P 1.55
O 0.4574 0.8403 0.0275 x1  1 P 1.55
O 0.4582 0.6868 0.5278 x1  1 P 1.55
O 0.4692 0.6839 0.2420 x1  1 P 1.56
O 0.4725 0.8359 0.7422 x1  1 P 1.57
O 0.4822 0.6360 0.6344 x1  1 P 1.55
O 0.4846 0.6390 0.9208 x1  1 S 1.49
O 0.4866 0.8689 0.1341 x1  1 P 1.56
O 0.4886 0.8564 0.4213 x1  1 P 1.56
O 0.5005 0.1360 0.5749 x1  1 P 1.52
O 0.5019 0.3463 0.0751 x1  1 P 1.54
O 0.5126 0.1213 0.8596 x1  1 P 1.54
O 0.5148 0.3549 0.3627 x1  1 S 1.47
O 0.5216 0.1581 0.2552 x1  1 P 1.53
O 0.5240 0.3004 0.7560 x1  1 P 1.54
O 0.5384 0.1464 0.9699 x1  1 P 1.54
O 0.5415 0.3026 0.4667 x1  1 S 1.47
O 0.6357 0.8718 0.6373 x1  1 P 1.56
O 0.6373 0.4835 0.1350 x1  1 P 1.55
O 0.6382 0.8559 0.9214 x1  1 P 1.56
O 0.6392 0.4845 0.4208 x1  1 S 1.49
O 0.6855 0.4673 0.7424 x1  1 P 1.55
O 0.6876 0.4582 0.0281 x1  1 P 1.55
O 0.6879 0.8321 0.2420 x1  1 P 1.56
O 0.6918 0.8377 0.5298 x1  1 P 1.57
O 0.7855 0.0224 0.1921 x1  1 P 1.54
O 0.7866 0.1713 0.6951 x1  1 P 1.53
O 0.7954 0.1742 0.4077 x1  1 S 1.49
O 0.8036 0.0151 0.9083 x1  1 P 1.56
O 0.8163 0.2025 0.8019 x1  1 P 1.56
O 0.8183 0.9734 0.3006 x1  1 P 1.56
O 0.8227 0.1862 0.0880 x1  1 P 1.55
O 0.8287 0.6931 0.7418 x1  1 P 1.57
O 0.8309 0.9640 0.5876 x1  1 P 1.54
O 0.8385 0.6931 0.0289 x1  1 P 1.56
O 0.8399 0.4591 0.5273 x1  1 P 1.55
O 0.8396 0.4602 0.2425 x1  1 S 1.49
O 0.8550 0.4896 0.9215 x1  1 P 1.56
O 0.8560 0.6384 0.4213 x1  1 P 1.56
O 0.8674 0.6354 0.1354 x1  1 P 1.55
O 0.8683 0.4865 0.6341 x1  1 P 1.56
O 0.9639 0.8296 0.0876 x1  1 P 1.55
O 0.9657 0.8218 0.8002 x1  1 P 1.56
O 0.9700 0.2055 0.3004 x1  1 S 1.49
O 0.9722 0.1898 0.5870 x1  1 P 1.52

---

Record 3
A relaxed NaSn4P5SO24 crystal. Source: the Materials Project database, functional PBE.

Computed properties:
Its crystal system is triclinic. The total moment comes out at 0.0 μB/f.u. Its energy with MP2020 corrections is -7.173 eV per atom.

Unit cell a=8.7282 b=8.7320 c=22.8132 alpha=89.64 beta=89.83 gamma=60.10
Closest atoms and distances in Å follow each position.
Space group P1 (No. 1)
Unique sites:
Na 0.0000 0.0000 0.0000 x1  6 O 2.53-2.61
Na 0.0039 0.9995 0.5027 x1  6 O 2.52-2.64
Na 0.6704 0.6661 0.6670 x1  6 O 2.56-2.59
Sn 0.0044 0.9988 0.6482 x1  6 O 2.03-2.07
Sn 0.0089 0.0013 0.3561 x1  6 O 2.00-2.15
Sn 0.0096 0.9981 0.1465 x1  6 O 2.01-2.13
Sn 0.3367 0.3326 0.4805 x1  6 O 2.03-2.05
Sn 0.3368 0.3336 0.6886 x1  6 O 2.02-2.06
Sn 0.3372 0.3389 0.9802 x1  6 O 2.00-2.13
Sn 0.3375 0.3267 0.1852 x1  6 O 2.00-2.14
Sn 0.6643 0.6721 0.3173 x1  6 O 2.00-2.16
Sn 0.6710 0.6663 0.5209 x1  6 O 2.04-2.05
Sn 0.6763 0.6588 0.8132 x1  6 O 2.02-2.16
Sn 0.6766 0.6613 0.0224 x1  6 O 2.00-2.14
Sn 0.9973 0.9999 0.8506 x1  6 O 1.99-2.19
P 0.0061 0.2876 0.7504 x1  4 O 1.52-1.55
P 0.0484 0.3333 0.0835 x1  4 O 1.52-1.56
P 0.0477 0.6229 0.5841 x1  4 O 1.54-1.55
P 0.2945 0.7086 0.7510 x1  4 O 1.53-1.56
P 0.2964 0.9986 0.2508 x1  4 O 1.54-1.55
P 0.3373 0.0429 0.5843 x1  4 O 1.54-1.55
P 0.3391 0.6218 0.0845 x1  4 O 1.52-1.56
P 0.3813 0.6630 0.4182 x1  4 O 1.52-1.56
P 0.6274 0.3320 0.5841 x1  4 O 1.54-1.55
P 0.6280 0.0410 0.0835 x1  4 O 1.52-1.56
P 0.6694 0.9589 0.4176 x1  4 O 1.52-1.56
P 0.6721 0.3746 0.9179 x1  4 O 1.53-1.56
P 0.7107 0.0000 0.7501 x1  4 O 1.52-1.55
P 0.9604 0.3790 0.4173 x1  4 O 1.52-1.56
P 0.9610 0.6668 0.9177 x1  4 O 1.53-1.56
S 0.0040 0.7070 0.2509 x1  4 O 1.47-1.49
S 0.3791 0.9577 0.9178 x1  4 O 1.47-1.49
S 0.7117 0.2920 0.2507 x1  4 O 1.47-1.49
O 0.0285 0.1666 0.0899 x1  1 P 1.56
O 0.0281 0.8086 0.5897 x1  1 P 1.55
O 0.0361 0.7864 0.3034 x1  1 S 1.48
O 0.0391 0.1770 0.8069 x1  1 P 1.55
O 0.1242 0.3678 0.1396 x1  1 P 1.54
O 0.1254 0.5097 0.6396 x1  1 P 1.54
O 0.1425 0.5006 0.9253 x1  1 P 1.53
O 0.1431 0.3582 0.4243 x1  1 P 1.52
O 0.1595 0.5457 0.5284 x1  1 P 1.54
O 0.1642 0.5326 0.2435 x1  1 S 1.48
O 0.1655 0.2935 0.0287 x1  1 P 1.54
O 0.1693 0.3073 0.7434 x1  1 P 1.52
O 0.1702 0.8065 0.0905 x1  1 P 1.56
O 0.1708 0.0235 0.5897 x1  1 P 1.55
O 0.1771 0.0352 0.3051 x1  1 P 1.54
O 0.1832 0.7877 0.8071 x1  1 P 1.55
O 0.1958 0.8311 0.4114 x1  1 P 1.56
O 0.2014 0.9750 0.9120 x1  1 S 1.49
O 0.2141 0.9634 0.1962 x1  1 P 1.55
O 0.2174 0.8250 0.6959 x1  1 P 1.54
O 0.2988 0.5463 0.0299 x1  1 P 1.54
O 0.3023 0.1548 0.5283 x1  1 P 1.54
O 0.3129 0.1653 0.2432 x1  1 P 1.54
O 0.3131 0.5266 0.7435 x1  1 P 1.53
O 0.3613 0.5007 0.4249 x1  1 P 1.52
O 0.3625 0.1329 0.9248 x1  1 S 1.47
O 0.3713 0.5100 0.1409 x1  1 P 1.55
O 0.3719 0.1212 0.6395 x1  1 P 1.54
O 0.4551 0.8470 0.9711 x1  1 S 1.49
O 0.4588 0.7043 0.4721 x1  1 P 1.53
O 0.4793 0.6931 0.7576 x1  1 P 1.56
O 0.4794 0.8331 0.2583 x1  1 P 1.54
O 0.4878 0.8807 0.8647 x1  1 S 1.48
O 0.4907 0.6299 0.3615 x1  1 P 1.55
O 0.5006 0.6435 0.0763 x1  1 P 1.52
O 0.5037 0.8574 0.5783 x1  1 P 1.55
O 0.5069 0.1404 0.4248 x1  1 P 1.52
O 0.5081 0.3545 0.9251 x1  1 P 1.53
O 0.5144 0.3671 0.6395 x1  1 P 1.54
O 0.5183 0.1186 0.1398 x1  1 P 1.54
O 0.5292 0.1638 0.7429 x1  1 P 1.52
O 0.5354 0.3095 0.2436 x1  1 S 1.48
O 0.5492 0.1582 0.0287 x1  1 P 1.54
O 0.5498 0.2981 0.5284 x1  1 P 1.54
O 0.6353 0.4907 0.8629 x1  1 P 1.54
O 0.6376 0.8812 0.3613 x1  1 P 1.55
O 0.6454 0.8597 0.0758 x1  1 P 1.52
O 0.6464 0.4989 0.5783 x1  1 P 1.55
O 0.6931 0.8323 0.7574 x1  1 P 1.55
O 0.6971 0.4664 0.2577 x1  1 S 1.47
O 0.7062 0.4549 0.9731 x1  1 P 1.55
O 0.7103 0.8406 0.4720 x1  1 P 1.54
O 0.7865 0.0346 0.8061 x1  1 P 1.54
O 0.7892 0.1783 0.3034 x1  1 S 1.49
O 0.8131 0.1662 0.5898 x1  1 P 1.55
O 0.8138 0.0238 0.0914 x1  1 P 1.56
O 0.8225 0.2132 0.1977 x1  1 S 1.49
O 0.8286 0.9603 0.6957 x1  1 P 1.54
O 0.8382 0.4727 0.7558 x1  1 P 1.55
O 0.8389 0.9748 0.4096 x1  1 P 1.56
O 0.8405 0.1896 0.9120 x1  1 P 1.56
O 0.8434 0.4555 0.4718 x1  1 P 1.54
O 0.8442 0.7056 0.9729 x1  1 P 1.55
O 0.8458 0.6887 0.2577 x1  1 S 1.47
O 0.8620 0.6417 0.5784 x1  1 P 1.55
O 0.8662 0.4957 0.0774 x1  1 P 1.52
O 0.8791 0.6353 0.8628 x1  1 P 1.54
O 0.8813 0.4889 0.3603 x1  1 P 1.55
O 0.9664 0.2107 0.6958 x1  1 P 1.54
O 0.9685 0.8197 0.1978 x1  1 S 1.49
O 0.9758 0.1939 0.4112 x1  1 P 1.56
O 0.9824 0.8331 0.9120 x1  1 P 1.56

---

Which formula does entry 1 have?
NaZr2Sc2P3S3O24

---

Which of these has the lowest energy with MP2020 corrections?
Na3Zr2Sc2P5SO24